Entry 1:
V9PO25 | Materials Project | PBE with a Hubbard U | relaxed; space-group type = No. 82; energy with MP2020 corrections = -8.30 eV/atom; final energy = -0.5420 Ry/atom; ΔE_f = -52.529 kcal/mol of atoms; theoretical density = 3.55 Mg/m³; volume = 11.90 Å³ per atom
1.0
-7.573 7.573 1.816
7.573 -7.573 1.816
7.573 7.573 -1.816
V P O
9 1 25
Direct
0.000 0.000 0.000 V
0.101 0.653 0.782 V
0.111 0.212 0.327 V
0.215 0.889 0.101 V
0.347 0.129 0.448 V
0.680 0.899 0.552 V
0.788 0.115 0.899 V
0.871 0.320 0.218 V
0.885 0.785 0.673 V
0.250 0.750 0.500 P
0.012 0.711 0.738 O
0.054 0.114 0.169 O
0.092 0.570 0.620 O
0.115 0.946 0.060 O
0.149 0.346 0.509 O
0.188 0.791 0.960 O
0.209 0.169 0.397 O
0.258 0.614 0.858 O
0.289 0.027 0.301 O
0.359 0.851 0.197 O
0.386 0.244 0.644 O
0.430 0.050 0.522 O
0.500 0.500 0.000 O
0.528 0.908 0.478 O
0.600 0.742 0.356 O
0.654 0.163 0.803 O
0.726 0.988 0.699 O
0.756 0.400 0.142 O
0.772 0.812 0.603 O
0.831 0.228 0.040 O
0.837 0.641 0.491 O
0.886 0.055 0.940 O
0.945 0.885 0.831 O
0.950 0.472 0.380 O
0.973 0.274 0.262 O

---

Entry 2:
KCoO3 | Materials Project | PBE with a Hubbard U | relaxed; space-group type = No. 221; energy with MP2020 corrections = -5.64 eV/atom; final energy = -0.3604 Ry/atom; ΔE_f = -23.771 kcal/mol of atoms; theoretical density = 4.17 Mg/m³; volume = 11.63 Å³ per atom
1.0
3.874 0.000 0.000
0.000 3.874 0.000
0.000 0.000 3.874
K Co O
1 1 3
Direct
0.000 0.000 0.000 K
0.500 0.500 0.500 Co
0.000 0.500 0.500 O
0.500 0.000 0.500 O
0.500 0.500 0.000 O

---

Entry 3:
FeH20S2N2O14 | Materials Project | PBE with a Hubbard U | relaxed; space-group type = No. 14; energy with MP2020 corrections = -5.65 eV/atom; final energy = -0.3931 Ry/atom; ΔE_f = -29.502 kcal/mol of atoms; theoretical density = 1.81 Mg/m³; volume = 9.21 Å³ per atom
1.0
6.380 0.000 0.000
0.000 12.571 0.000
-2.674 0.000 8.956
Fe H S N O
2 40 4 4 28
Direct
0.000 0.000 0.000 Fe
0.000 0.500 0.500 Fe
0.007 0.190 0.146 H
0.007 0.310 0.646 H
0.061 0.101 0.271 H
0.061 0.399 0.771 H
0.106 0.622 0.754 H
0.106 0.878 0.254 H
0.201 0.673 0.065 H
0.201 0.827 0.565 H
0.326 0.147 0.023 H
0.326 0.353 0.523 H
0.330 0.064 0.895 H
0.330 0.436 0.395 H
0.333 0.589 0.724 H
0.333 0.911 0.224 H
0.364 0.576 0.165 H
0.364 0.924 0.665 H
0.404 0.705 0.223 H
0.404 0.795 0.723 H
0.463 0.668 0.066 H
0.463 0.832 0.566 H
0.537 0.168 0.434 H
0.537 0.332 0.934 H
0.596 0.205 0.277 H
0.596 0.295 0.777 H
0.636 0.076 0.335 H
0.636 0.424 0.835 H
0.667 0.089 0.776 H
0.667 0.411 0.276 H
0.670 0.564 0.605 H
0.670 0.936 0.105 H
0.674 0.647 0.477 H
0.674 0.853 0.977 H
0.799 0.173 0.435 H
0.799 0.327 0.935 H
0.894 0.122 0.746 H
0.894 0.378 0.246 H
0.939 0.601 0.229 H
0.939 0.899 0.729 H
0.993 0.690 0.354 H
0.993 0.810 0.854 H
0.259 0.135 0.592 S
0.259 0.365 0.092 S
0.741 0.635 0.908 S
0.741 0.865 0.408 S
0.357 0.656 0.130 N
0.357 0.844 0.630 N
0.643 0.156 0.370 N
0.643 0.344 0.870 N
0.026 0.615 0.334 O
0.026 0.885 0.834 O
0.050 0.174 0.616 O
0.050 0.326 0.116 O
0.179 0.609 0.675 O
0.179 0.891 0.175 O
0.217 0.076 0.449 O
0.217 0.424 0.949 O
0.295 0.072 0.991 O
0.295 0.428 0.491 O
0.374 0.063 0.718 O
0.374 0.437 0.218 O
0.408 0.228 0.592 O
0.408 0.272 0.092 O
0.592 0.728 0.908 O
0.592 0.772 0.408 O
0.626 0.563 0.782 O
0.626 0.937 0.282 O
0.705 0.572 0.509 O
0.705 0.928 0.009 O
0.783 0.576 0.051 O
0.783 0.924 0.551 O
0.821 0.109 0.825 O
0.821 0.391 0.325 O
0.950 0.674 0.884 O
0.950 0.826 0.384 O
0.974 0.115 0.166 O
0.974 0.385 0.666 O

---

Entry 4:
Li3Cr4P6O24 | Materials Project | PBE with a Hubbard U | relaxed; space-group type = No. 2; energy with MP2020 corrections = -7.77 eV/atom; E above lowest polymorph = 1.14 eV/f.u.; final energy = -0.5223 Ry/atom; ΔE_f = -57.244 kcal/mol of atoms; theoretical density = 3.06 Mg/m³; volume = 11.70 Å³ per atom
1.0
6.359 0.000 0.000
-2.273 8.171 0.000
-2.543 -0.939 8.328
Li Cr P O
3 4 6 24
Direct
0.000 0.000 0.000 Li
0.261 0.787 0.205 Li
0.739 0.213 0.795 Li
0.134 0.877 0.559 Cr
0.365 0.441 0.119 Cr
0.635 0.559 0.881 Cr
0.866 0.123 0.441 Cr
0.132 0.648 0.852 P
0.248 0.214 0.782 P
0.350 0.145 0.349 P
0.650 0.855 0.651 P
0.752 0.786 0.218 P
0.868 0.352 0.148 P
0.026 0.236 0.659 O
0.093 0.487 0.156 O
0.128 0.693 0.682 O
0.175 0.096 0.451 O
0.175 0.797 0.966 O
0.226 0.237 0.952 O
0.264 0.037 0.752 O
0.270 0.021 0.204 O
0.328 0.559 0.912 O
0.374 0.323 0.309 O
0.415 0.854 0.526 O
0.469 0.334 0.764 O
0.531 0.666 0.236 O
0.585 0.146 0.474 O
0.626 0.677 0.691 O
0.672 0.441 0.088 O
0.730 0.979 0.796 O
0.736 0.963 0.248 O
0.774 0.763 0.048 O
0.825 0.203 0.034 O
0.825 0.904 0.549 O
0.872 0.307 0.318 O
0.907 0.513 0.844 O
0.974 0.764 0.341 O

---

Entry 5:
Rb4MgU4Cr4O24 | Materials Project | PBE with a Hubbard U | relaxed; space-group type = No. 1; energy with MP2020 corrections = -8.38 eV/atom; E above lowest polymorph = 1.08 eV/f.u.; final energy = -0.5673 Ry/atom; ΔE_f = -63.569 kcal/mol of atoms; theoretical density = 5.04 Mg/m³; volume = 17.01 Å³ per atom
1.0
7.200 0.000 0.000
-0.193 8.645 0.000
-2.461 -0.197 10.110
Rb Mg U Cr O
4 1 4 4 24
Direct
0.000 0.000 0.000 Rb
0.012 0.935 0.542 Rb
0.888 0.590 0.240 Rb
0.944 0.490 0.772 Rb
0.017 0.254 0.382 Mg
0.460 0.774 0.818 U
0.467 0.232 0.312 U
0.479 0.731 0.461 U
0.484 0.279 0.959 U
0.368 0.610 0.089 Cr
0.375 0.397 0.582 Cr
0.569 0.906 0.194 Cr
0.571 0.109 0.685 Cr
0.126 0.369 0.543 O
0.140 0.614 0.074 O
0.187 0.212 0.268 O
0.198 0.803 0.774 O
0.218 0.749 0.399 O
0.224 0.244 0.901 O
0.419 0.545 0.933 O
0.422 0.182 0.524 O
0.424 0.608 0.645 O
0.426 0.815 0.035 O
0.443 0.411 0.152 O
0.448 0.457 0.431 O
0.486 0.910 0.627 O
0.491 0.114 0.131 O
0.513 0.972 0.351 O
0.518 0.315 0.739 O
0.521 0.689 0.248 O
0.532 0.050 0.847 O
0.720 0.746 0.868 O
0.741 0.706 0.518 O
0.744 0.316 0.015 O
0.745 0.260 0.360 O
0.798 0.118 0.692 O
0.810 0.908 0.212 O

---

Entry 6:
V8O15 | Materials Project | PBE with a Hubbard U | relaxed; space-group type = No. 2; energy with MP2020 corrections = -8.87 eV/atom; final energy = -0.5756 Ry/atom; ΔE_f = -57.273 kcal/mol of atoms; theoretical density = 4.42 Mg/m³; volume = 10.57 Å³ per atom
1.0
5.542 0.000 0.000
-2.141 6.759 0.000
-1.566 -3.332 12.985
V O
16 30
Direct
0.173 0.176 0.449 V
0.184 0.681 0.452 V
0.210 0.509 0.192 V
0.220 0.012 0.191 V
0.260 0.329 0.940 V
0.261 0.828 0.933 V
0.308 0.643 0.677 V
0.316 0.159 0.687 V
0.684 0.841 0.313 V
0.692 0.357 0.323 V
0.739 0.172 0.067 V
0.740 0.671 0.060 V
0.780 0.988 0.809 V
0.790 0.491 0.808 V
0.816 0.319 0.548 V
0.827 0.824 0.551 V
0.002 0.870 0.420 O
0.054 0.508 0.317 O
0.067 0.214 0.155 O
0.088 0.828 0.049 O
0.124 0.521 0.891 O
0.144 0.146 0.789 O
0.191 0.847 0.606 O
0.203 0.460 0.522 O
0.326 0.191 0.344 O
0.350 0.811 0.243 O
0.382 0.508 0.077 O
0.401 0.133 0.974 O
0.425 0.827 0.818 O
0.460 0.451 0.719 O
0.485 0.201 0.549 O
0.515 0.799 0.451 O
0.540 0.549 0.281 O
0.575 0.173 0.182 O
0.599 0.867 0.026 O
0.618 0.492 0.923 O
0.650 0.189 0.757 O
0.674 0.809 0.656 O
0.797 0.540 0.478 O
0.809 0.153 0.394 O
0.856 0.854 0.211 O
0.876 0.479 0.109 O
0.912 0.172 0.951 O
0.933 0.786 0.845 O
0.946 0.492 0.683 O
0.998 0.130 0.580 O

---

Entry 7:
V5CoP6O24 | Materials Project | PBE with a Hubbard U | relaxed; space-group type = No. 146; energy with MP2020 corrections = -8.17 eV/atom; final energy = -0.5463 Ry/atom; ΔE_f = -57.941 kcal/mol of atoms; theoretical density = 3.27 Mg/m³; volume = 12.46 Å³ per atom
1.0
4.327 2.498 6.916
-4.327 2.498 6.916
0.000 -4.997 6.916
V Co P O
5 1 6 24
Direct
0.000 0.000 0.000 V
0.144 0.144 0.144 V
0.290 0.290 0.290 V
0.642 0.642 0.642 V
0.787 0.787 0.787 V
0.499 0.499 0.499 Co
0.100 0.395 0.689 P
0.190 0.896 0.601 P
0.395 0.689 0.100 P
0.601 0.190 0.896 P
0.689 0.100 0.395 P
0.896 0.601 0.190 P
0.034 0.832 0.639 O
0.059 0.403 0.207 O
0.078 0.231 0.888 O
0.138 0.972 0.758 O
0.148 0.325 0.529 O
0.207 0.059 0.403 O
0.231 0.888 0.078 O
0.250 0.461 0.660 O
0.325 0.529 0.148 O
0.387 0.742 0.594 O
0.403 0.207 0.059 O
0.461 0.660 0.250 O
0.529 0.148 0.325 O
0.550 0.700 0.899 O
0.594 0.387 0.742 O
0.639 0.034 0.832 O
0.660 0.250 0.461 O
0.700 0.899 0.550 O
0.742 0.594 0.387 O
0.758 0.138 0.972 O
0.832 0.639 0.034 O
0.888 0.078 0.231 O
0.899 0.550 0.700 O
0.972 0.758 0.138 O

---

Entry 8:
MgTi3Fe2CoP6O24 | Materials Project | PBE with a Hubbard U | relaxed; space-group type = No. 1; energy with MP2020 corrections = -8.11 eV/atom; E above lowest polymorph = 0.39 eV/f.u.; final energy = -0.5508 Ry/atom; ΔE_f = -61.913 kcal/mol of atoms; theoretical density = 3.24 Mg/m³; volume = 12.60 Å³ per atom
1.0
8.621 0.000 0.000
4.152 7.589 0.000
4.288 2.411 7.125
Mg Ti Fe Co P O
1 3 2 1 6 24
Direct
0.000 0.000 0.000 Mg
0.147 0.144 0.142 Ti
0.349 0.359 0.345 Ti
0.648 0.641 0.616 Ti
0.489 0.503 0.491 Fe
0.871 0.867 0.860 Fe
0.698 0.752 0.793 Co
0.037 0.751 0.439 P
0.253 0.545 0.951 P
0.442 0.062 0.740 P
0.542 0.962 0.244 P
0.756 0.441 0.047 P
0.955 0.250 0.539 P
0.002 0.173 0.389 O
0.061 0.913 0.249 O
0.102 0.737 0.949 O
0.106 0.335 0.478 O
0.182 0.388 0.000 O
0.234 0.597 0.426 O
0.252 0.064 0.904 O
0.335 0.491 0.100 O
0.391 0.001 0.172 O
0.410 0.560 0.752 O
0.421 0.252 0.583 O
0.478 0.114 0.327 O
0.498 0.894 0.675 O
0.551 0.765 0.402 O
0.589 0.428 0.237 O
0.603 0.022 0.798 O
0.699 0.492 0.877 O
0.739 0.957 0.096 O
0.757 0.406 0.550 O
0.815 0.603 0.006 O
0.888 0.684 0.454 O
0.912 0.251 0.061 O
0.950 0.104 0.734 O
0.962 0.804 0.613 O

---

Entry 9:
Li3V2P5O16 | Materials Project | PBE with a Hubbard U | relaxed; space-group type = No. 13; energy with MP2020 corrections = -7.65 eV/atom; final energy = -0.5215 Ry/atom; ΔE_f = -60.984 kcal/mol of atoms; theoretical density = 2.73 Mg/m³; volume = 12.47 Å³ per atom
1.0
5.050 0.000 0.000
0.000 7.008 0.000
-0.999 0.000 18.328
Li V P O
6 4 10 32
Direct
0.000 0.016 0.250 Li
0.000 0.984 0.750 Li
0.239 0.322 0.966 Li
0.239 0.678 0.466 Li
0.761 0.322 0.534 Li
0.761 0.678 0.034 Li
0.233 0.178 0.410 V
0.233 0.822 0.910 V
0.767 0.178 0.090 V
0.767 0.822 0.590 V
0.243 0.468 0.124 P
0.243 0.532 0.624 P
0.273 0.130 0.587 P
0.273 0.870 0.087 P
0.500 0.244 0.250 P
0.500 0.756 0.750 P
0.727 0.130 0.913 P
0.727 0.870 0.413 P
0.757 0.468 0.376 P
0.757 0.532 0.876 P
0.053 0.453 0.393 O
0.053 0.547 0.893 O
0.117 0.014 0.130 O
0.117 0.209 0.519 O
0.117 0.791 0.019 O
0.117 0.986 0.630 O
0.307 0.385 0.205 O
0.307 0.615 0.705 O
0.313 0.315 0.643 O
0.313 0.685 0.143 O
0.322 0.133 0.298 O
0.322 0.867 0.798 O
0.420 0.378 0.069 O
0.420 0.622 0.569 O
0.440 0.082 0.928 O
0.440 0.918 0.428 O
0.560 0.082 0.572 O
0.560 0.918 0.072 O
0.580 0.378 0.431 O
0.580 0.622 0.931 O
0.678 0.133 0.202 O
0.678 0.867 0.702 O
0.687 0.315 0.857 O
0.687 0.685 0.357 O
0.693 0.385 0.295 O
0.693 0.615 0.795 O
0.883 0.014 0.370 O
0.883 0.209 0.981 O
0.883 0.791 0.481 O
0.883 0.986 0.870 O
0.947 0.453 0.107 O
0.947 0.547 0.607 O

---

Entry 10:
Ba2LiSmCoCu2O7 | Materials Project | PBE with a Hubbard U | relaxed; space-group type = No. 6; energy with MP2020 corrections = -6.35 eV/atom; E above lowest polymorph = 1.04 eV/f.u.; final energy = -0.4330 Ry/atom; ΔE_f = -46.969 kcal/mol of atoms; theoretical density = 6.33 Mg/m³; volume = 13.68 Å³ per atom
1.0
3.943 0.000 0.000
0.000 11.699 0.000
-0.132 0.000 4.151
Ba Li Sm Co Cu O
2 1 1 1 2 7
Direct
0.000 0.176 0.000 Ba
0.000 0.824 0.000 Ba
0.668 0.500 0.328 Li
0.077 0.500 0.907 Sm
0.507 0.000 0.495 Co
0.497 0.332 0.505 Cu
0.497 0.668 0.505 Cu
0.000 0.375 0.479 O
0.000 0.625 0.479 O
0.507 0.155 0.493 O
0.507 0.845 0.493 O
0.512 0.000 0.992 O
0.527 0.375 0.000 O
0.527 0.625 0.000 O